## CsH5N2 (PBE)

Data for a relaxed CsH5N2 crystal.

Structure (POSCAR):
```
CsH5N2
1.0
-3.292 3.999 0.776
0.016 -1.623 8.429
7.940 6.304 1.199
H N Cs
20 8 4
Cartesian
2.523 5.719 7.748
1.800 5.394 6.354
-0.568 3.544 5.837
4.464 8.077 3.828
5.395 3.942 5.703
0.199 0.603 6.575
4.331 5.234 5.953
2.863 3.286 4.050
-0.215 2.194 8.581
-0.389 4.504 1.650
-1.279 3.486 8.832
5.053 4.176 8.753
2.140 2.962 2.655
4.879 6.486 1.823
5.231 5.136 4.567
5.183 8.897 2.651
-0.519 -0.217 7.752
0.332 3.447 4.450
-0.731 4.738 4.701
5.942 5.194 1.572
5.277 4.976 5.581
2.092 2.728 3.656
4.996 5.571 1.325
-0.613 3.704 4.823
4.412 8.231 2.813
2.572 5.953 6.748
0.251 0.449 7.591
-0.332 3.109 9.078
2.550 2.439 7.087
2.114 6.241 3.316
4.873 7.615 7.946
-0.210 1.065 2.457
```

For the energy relative to the elements, the calculation gives -0.4189 eV/atom. The total energy is -4.645 eV per atom. The value obtained for the energy above the most stable polymorph in this dataset is 0 meV/atom.

---

## CsH4NO (PBE)

Data for a relaxed CsH4NO crystal.

Structure (POSCAR):
```
CsH4NO
1.0
0.192 1.073 -4.360
-8.241 -1.834 -0.403
-4.204 17.959 4.236
H Cs O N
32 8 8 8
Cartesian
-7.204 16.121 3.369
-8.353 11.730 1.601
-7.361 16.562 1.806
-3.566 0.666 -3.302
-9.787 8.639 1.619
-3.900 5.468 -2.128
-9.144 13.959 2.216
-6.749 11.331 1.512
-2.769 9.770 1.165
-11.582 13.457 2.028
-3.109 3.239 -2.743
-7.392 1.548 -3.569
-4.609 14.257 2.182
-8.016 9.793 -0.698
-4.892 0.636 -2.333
-9.899 8.883 0.010
-4.346 7.056 -2.284
-5.503 5.868 -2.039
-5.049 1.077 -3.896
-2.466 8.560 -2.146
-8.687 16.533 2.775
-7.931 5.322 -2.237
-7.644 2.942 -2.709
-4.322 11.877 1.710
-4.861 15.651 3.042
-6.902 0.271 -1.497
-7.907 10.142 1.757
-4.237 7.405 0.171
-2.354 8.316 -0.537
-0.671 3.742 -2.555
-5.350 16.927 0.970
-9.484 7.428 -1.692
-6.635 14.043 -0.095
-5.617 3.155 -0.432
-1.757 5.184 0.031
-5.028 10.238 -1.015
-10.496 12.014 -0.558
-10.742 16.132 0.390
-1.510 1.067 -0.917
-7.225 6.961 0.488
-2.581 4.064 -2.732
-9.672 13.134 2.205
-7.107 4.879 -2.525
-6.528 -0.504 -1.031
-4.180 7.986 0.957
-5.146 12.319 1.998
-5.725 17.702 0.504
-8.073 9.213 -1.483
-7.828 16.012 2.544
-7.699 11.010 1.235
-10.478 8.813 0.861
-4.425 1.186 -3.071
-4.360 15.265 2.223
-4.554 6.188 -1.761
-1.775 8.385 -1.388
-7.893 1.933 -2.750
```

The total moment comes out at 0.000 μB/f.u. For the energy relative to the elements, the calculation gives -0.8425 eV/atom. The total energy is -4.709 eV per atom.

---

## CsPH4N2O2 (PBE)

Data for a relaxed CsPH4N2O2 crystal.

Structure (POSCAR):
```
CsPH4N2O2
1.0
5.656 0.000 0.000
0.000 5.656 0.000
0.000 0.000 15.722
Cs P N O H
4 4 8 8 16
Cartesian
1.978 1.978 7.861
0.850 4.806 3.930
3.679 3.679 0.000
4.806 0.850 11.791
2.202 3.454 11.791
5.030 5.030 7.861
0.626 0.626 0.000
3.454 2.202 3.930
1.790 0.803 14.495
4.853 3.867 9.088
3.631 1.039 2.704
1.039 3.631 13.018
2.025 4.618 10.565
4.618 2.025 5.157
0.803 1.790 1.227
3.867 4.853 6.634
1.952 2.121 11.109
4.780 0.708 8.543
0.708 4.780 7.179
3.704 3.536 3.248
4.949 0.876 15.040
0.876 4.949 0.682
2.121 1.952 4.613
3.536 3.704 12.473
4.454 1.180 5.724
3.580 0.051 2.972
4.476 1.202 2.137
0.752 2.777 0.958
1.648 1.626 1.794
1.202 4.476 13.585
2.777 0.752 14.764
2.880 4.904 6.903
4.904 2.880 8.819
4.030 4.008 6.067
2.076 5.605 10.833
4.008 4.030 9.654
1.180 4.454 9.998
0.051 3.580 12.749
5.605 2.076 4.888
1.626 1.648 13.928
```

The total moment comes out at 0.000 μB/f.u. For the energy relative to the elements, the calculation gives -1.1947 eV/atom. The total energy is -5.702 eV per atom.

---

## CsH2SNO3 (PBE)

Data for a relaxed CsH2SNO3 crystal.

Structure (POSCAR):
```
CsH2SNO3
1.0
-0.086 6.055 3.069
-8.074 -1.538 2.809
3.206 -3.622 7.234
Cs S O H N
4 4 12 8 4
Cartesian
-2.050 0.391 10.433
-2.904 0.504 2.678
-6.079 1.740 7.660
1.125 -0.845 5.452
-6.338 -0.347 4.261
-1.737 2.764 5.761
1.384 1.242 8.850
-3.217 -1.869 7.351
-3.979 -3.047 6.917
-6.687 -0.997 5.534
-0.944 1.735 5.076
-5.688 0.957 4.444
-5.656 -1.250 3.325
1.733 1.892 7.578
0.734 -0.062 8.667
0.702 2.146 9.787
-4.010 -0.839 8.036
-2.970 3.112 5.039
-1.984 -2.217 8.073
-0.975 3.942 6.195
-2.773 2.645 7.763
-2.181 -1.750 5.349
-2.753 1.197 7.029
-4.693 0.163 12.605
-4.673 -1.285 11.871
-2.201 -0.302 6.083
-0.261 0.732 0.506
-0.281 2.180 1.240
-0.378 4.469 2.434
-2.788 -1.117 5.881
-4.576 -3.574 10.677
-2.166 2.013 7.231
```

The total moment comes out at 0.000 μB/f.u. For the energy relative to the elements, the calculation gives -1.3743 eV/atom. The total energy is -5.491 eV per atom. The value obtained for the energy above the most stable polymorph in this dataset is 40 meV/atom.